(1)
# Li7Mn4CoO12 | the Materials Project database | GGA+U | optimized geometry
# VASP energy = -148.93 eV for the cell shown
# MP2020-corrected energy = -6.895 eV/atom
# ΔH_f (0 K) = -2.041 eV per atom
data_Li7Mn4CoO12
_chemical_formula_sum 'Li7 Mn4 Co1 O12'
_cell_length_a 2.9580
_cell_length_b 8.1695
_cell_length_c 9.8679
_cell_angle_alpha 65.73
_cell_angle_beta 86.27
_cell_angle_gamma 89.00
_symmetry_space_group_name_H-M 'P 1'
_symmetry_Int_Tables_number 1
_symmetry_space_group_name_Hall 'P 1'
loop_
_atom_site_label
_atom_site_type_symbol
_atom_site_fract_x
_atom_site_fract_y
_atom_site_fract_z
Li1 Li 0.0000 0.0000 0.0000
Li2 Li 0.0025 0.5004 0.9989
Li3 Li 0.0091 0.1619 0.6770
Li4 Li 0.4942 0.3148 0.8332
Li5 Li 0.4977 0.0035 0.4965
Li6 Li 0.5056 0.6800 0.1657
Li7 Li 0.9893 0.8371 0.3209
Mn1 Mn 0.0092 0.6616 0.6697
Mn2 Mn 0.4927 0.1607 0.1622
Mn3 Mn 0.5000 0.4980 0.4957
Mn4 Mn 0.5077 0.8406 0.8374
Co1 Co 0.9854 0.3363 0.3259
O1 O 0.0185 0.2398 0.0219
O2 O 0.0287 0.8996 0.6844
O3 O 0.0390 0.4233 0.6616
O4 O 0.4603 0.4012 0.1745
O5 O 0.4693 0.7375 0.5063
O6 O 0.4934 0.0679 0.8281
O7 O 0.5059 0.9329 0.1701
O8 O 0.5292 0.2611 0.4852
O9 O 0.5411 0.5966 0.8284
O10 O 0.9658 0.5713 0.3333
O11 O 0.9729 0.1032 0.3136
O12 O 0.9820 0.7617 0.9770

(2)
# Li4MnCo2O7 | the Materials Project database | GGA+U | optimized geometry
# VASP energy = -162.95 eV for the cell shown
# MP2020-corrected energy = -6.516 eV/atom
# ΔH_f (0 K) = -1.827 eV per atom
data_Li4MnCo2O7
_chemical_formula_sum 'Li8 Mn2 Co4 O14'
_cell_length_a 2.9700
_cell_length_b 6.4715
_cell_length_c 13.6047
_cell_angle_alpha 83.98
_cell_angle_beta 86.99
_cell_angle_gamma 76.82
_symmetry_space_group_name_H-M 'P 1'
_symmetry_Int_Tables_number 1
_symmetry_space_group_name_Hall 'P 1'
loop_
_atom_site_label
_atom_site_type_symbol
_atom_site_fract_x
_atom_site_fract_y
_atom_site_fract_z
Li1 Li 0.0000 0.0000 0.0000
Li2 Li 0.0231 0.4850 0.4949
Li3 Li 0.1536 0.9288 0.7804
Li4 Li 0.3163 0.3336 0.0644
Li5 Li 0.4419 0.7833 0.3540
Li6 Li 0.5880 0.2090 0.6384
Li7 Li 0.7456 0.6373 0.9222
Li8 Li 0.8926 0.0621 0.2023
Mn1 Mn 0.3002 0.8472 0.5656
Mn2 Mn 0.5918 0.7186 0.1337
Co1 Co 0.1848 0.4151 0.2786
Co2 Co 0.4492 0.2682 0.8585
Co3 Co 0.7463 0.1323 0.4219
Co4 Co 0.8729 0.5591 0.7114
O1 O 0.0436 0.2593 0.7482
O2 O 0.0600 0.7337 0.2317
O3 O 0.1331 0.1569 0.5266
O4 O 0.1377 0.6738 0.0446
O5 O 0.3246 0.5745 0.8160
O6 O 0.3443 0.1051 0.3237
O7 O 0.4261 0.5400 0.6050
O8 O 0.4546 0.0079 0.1052
O9 O 0.5819 0.9904 0.8809
O10 O 0.6078 0.4407 0.3807
O11 O 0.7009 0.8676 0.6733
O12 O 0.7472 0.3990 0.1797
O13 O 0.8548 0.3144 0.9503
O14 O 0.8985 0.8261 0.4593

(3)
# Li4MnCo2O7 | the Materials Project database | GGA+U | optimized geometry
# VASP energy = -162.22 eV for the cell shown
# MP2020-corrected energy = -6.490 eV/atom
# ΔH_f (0 K) = -1.801 eV per atom
data_Li4MnCo2O7
_chemical_formula_sum 'Li8 Mn2 Co4 O14'
_cell_length_a 3.0218
_cell_length_b 8.0466
_cell_length_c 10.7037
_cell_angle_alpha 78.39
_cell_angle_beta 86.76
_cell_angle_gamma 89.05
_symmetry_space_group_name_H-M 'P -1'
_symmetry_Int_Tables_number 2
_symmetry_space_group_name_Hall '-P 1'
loop_
_atom_site_label
_atom_site_type_symbol
_atom_site_fract_x
_atom_site_fract_y
_atom_site_fract_z
Li1 Li 0.0000 0.0000 0.0000
Li2 Li 0.0000 0.5000 0.0000
Li3 Li 0.1378 0.0747 0.7162
Li4 Li 0.2876 0.6416 0.4269
Li5 Li 0.4306 0.2112 0.1383
Mn1 Mn 0.2867 0.1461 0.4255
Co1 Co 0.1406 0.5668 0.7170
Co2 Co 0.4337 0.7253 0.1367
O1 O 0.0168 0.7458 0.0108
O2 O 0.1201 0.8080 0.7142
O3 O 0.1612 0.3311 0.7235
O4 O 0.2647 0.3892 0.4199
O5 O 0.3100 0.8998 0.4334
O6 O 0.4220 0.9388 0.1457
O7 O 0.4465 0.4828 0.1509

(4)
# Li4MnCo2O7 | the Materials Project database | GGA+U | optimized geometry
# VASP energy = -323.84 eV for the cell shown
# MP2020-corrected energy = -6.479 eV/atom
# ΔH_f (0 K) = -1.790 eV per atom
data_Li4MnCo2O7
_chemical_formula_sum 'Li16 Mn4 Co8 O28'
_cell_length_a 9.8105
_cell_length_b 2.8807
_cell_length_c 18.1374
_cell_angle_alpha 90.00
_cell_angle_beta 97.05
_cell_angle_gamma 90.00
_symmetry_space_group_name_H-M 'C 1 m 1'
_symmetry_Int_Tables_number 8
_symmetry_space_group_name_Hall 'C -2y'
loop_
_atom_site_label
_atom_site_type_symbol
_atom_site_fract_x
_atom_site_fract_y
_atom_site_fract_z
Li1 Li 0.0000 0.0000 0.0000
Li2 Li 0.0006 0.0000 0.5148
Li3 Li 0.0647 0.5000 0.6485
Li4 Li 0.1441 0.0000 0.7949
Li5 Li 0.2049 0.5000 0.9392
Li6 Li 0.2980 0.0000 0.0627
Li7 Li 0.3568 0.5000 0.2072
Li8 Li 0.4303 0.0000 0.3573
Mn1 Mn 0.1458 0.0000 0.2845
Mn2 Mn 0.2154 0.5000 0.4351
Co1 Co 0.0771 0.5000 0.1289
Co2 Co 0.2791 0.0000 0.5806
Co3 Co 0.3575 0.5000 0.7199
Co4 Co 0.4238 0.0000 0.8712
O1 O 0.0177 0.5000 0.2597
O2 O 0.0584 0.0000 0.8897
O3 O 0.0913 0.0000 0.3915
O4 O 0.1424 0.5000 0.5435
O5 O 0.1469 0.5000 0.0433
O6 O 0.2000 0.0000 0.1882
O7 O 0.2318 0.0000 0.6885
O8 O 0.2751 0.5000 0.3171
O9 O 0.3014 0.5000 0.8146
O10 O 0.3458 0.0000 0.4679
O11 O 0.3543 0.0000 0.9573
O12 O 0.4159 0.5000 0.6203
O13 O 0.4418 0.5000 0.1129
O14 O 0.4799 0.0000 0.7493

(5)
# Li7Mn4CoO12 | the Materials Project database | GGA+U | optimized geometry
# VASP energy = -299.78 eV for the cell shown
# MP2020-corrected energy = -6.935 eV/atom
# ΔH_f (0 K) = -2.081 eV per atom
data_Li7Mn4CoO12
_chemical_formula_sum 'Li14 Mn8 Co2 O24'
_cell_length_a 5.1458
_cell_length_b 8.6317
_cell_length_c 9.7762
_cell_angle_alpha 90.00
_cell_angle_beta 98.31
_cell_angle_gamma 90.00
_symmetry_space_group_name_H-M 'C 1 2 1'
_symmetry_Int_Tables_number 5
_symmetry_space_group_name_Hall 'C 2y'
loop_
_atom_site_label
_atom_site_type_symbol
_atom_site_fract_x
_atom_site_fract_y
_atom_site_fract_z
Li1 Li 0.0000 0.0000 0.0000
Li2 Li 0.2390 0.8360 0.2478
Li3 Li 0.2448 0.9988 0.7544
Li4 Li 0.2486 0.6648 0.7513
Mn1 Mn 0.0000 0.1633 0.5000
Mn2 Mn 0.0000 0.3324 0.0000
Mn3 Mn 0.0000 0.5032 0.5000
Mn4 Mn 0.0000 0.6671 0.0000
Co1 Co 0.0000 0.8332 0.5000
O1 O 0.1023 0.9983 0.3802
O2 O 0.1029 0.6688 0.3825
O3 O 0.1062 0.4993 0.8866
O4 O 0.1412 0.3331 0.3941
O5 O 0.1490 0.1782 0.8886
O6 O 0.1494 0.8219 0.8899

(6)
# Li4MnCo2O7 | the Materials Project database | GGA+U | optimized geometry
# VASP energy = -326.39 eV for the cell shown
# MP2020-corrected energy = -6.525 eV/atom
# ΔH_f (0 K) = -1.836 eV per atom
data_Li4MnCo2O7
_chemical_formula_sum 'Li16 Mn4 Co8 O28'
_cell_length_a 5.2087
_cell_length_b 19.8608
_cell_length_c 5.1852
_cell_angle_alpha 90.00
_cell_angle_beta 112.27
_cell_angle_gamma 90.00
_symmetry_space_group_name_H-M 'C 1 2 1'
_symmetry_Int_Tables_number 5
_symmetry_space_group_name_Hall 'C 2y'
loop_
_atom_site_label
_atom_site_type_symbol
_atom_site_fract_x
_atom_site_fract_y
_atom_site_fract_z
Li1 Li 0.0000 0.0000 0.0000
Li2 Li 0.0000 0.0686 0.5000
Li3 Li 0.0000 0.2141 0.5000
Li4 Li 0.0000 0.3563 0.5000
Li5 Li 0.0000 0.4990 0.5000
Li6 Li 0.0000 0.6403 0.5000
Li7 Li 0.0000 0.7827 0.5000
Li8 Li 0.0000 0.9304 0.5000
Mn1 Mn 0.0000 0.4284 0.0000
Mn2 Mn 0.0000 0.8560 0.0000
Co1 Co 0.0000 0.1417 0.0000
Co2 Co 0.0000 0.2841 0.0000
Co3 Co 0.0000 0.5710 0.0000
Co4 Co 0.0000 0.7117 0.0000
O1 O 0.2191 0.5001 0.2353
O2 O 0.2234 0.3561 0.2342
O3 O 0.2227 0.6406 0.2301
O4 O 0.2247 0.2130 0.2234
O5 O 0.2266 0.7818 0.2294
O6 O 0.2402 0.4244 0.7859
O7 O 0.2419 0.5742 0.7952

Please write out number 5 again, unchanged.
# Li7Mn4CoO12 | the Materials Project database | GGA+U | optimized geometry
# VASP energy = -299.78 eV for the cell shown
# MP2020-corrected energy = -6.935 eV/atom
# ΔH_f (0 K) = -2.081 eV per atom
data_Li7Mn4CoO12
_chemical_formula_sum 'Li14 Mn8 Co2 O24'
_cell_length_a 5.1458
_cell_length_b 8.6317
_cell_length_c 9.7762
_cell_angle_alpha 90.00
_cell_angle_beta 98.31
_cell_angle_gamma 90.00
_symmetry_space_group_name_H-M 'C 1 2 1'
_symmetry_Int_Tables_number 5
_symmetry_space_group_name_Hall 'C 2y'
loop_
_atom_site_label
_atom_site_type_symbol
_atom_site_fract_x
_atom_site_fract_y
_atom_site_fract_z
Li1 Li 0.0000 0.0000 0.0000
Li2 Li 0.2390 0.8360 0.2478
Li3 Li 0.2448 0.9988 0.7544
Li4 Li 0.2486 0.6648 0.7513
Mn1 Mn 0.0000 0.1633 0.5000
Mn2 Mn 0.0000 0.3324 0.0000
Mn3 Mn 0.0000 0.5032 0.5000
Mn4 Mn 0.0000 0.6671 0.0000
Co1 Co 0.0000 0.8332 0.5000
O1 O 0.1023 0.9983 0.3802
O2 O 0.1029 0.6688 0.3825
O3 O 0.1062 0.4993 0.8866
O4 O 0.1412 0.3331 0.3941
O5 O 0.1490 0.1782 0.8886
O6 O 0.1494 0.8219 0.8899

> Which value of ΔH_f (0 K) does entry 6 give?

-1.836 eV per atom